Record 1
A plane-wave DFT calculation with PBE with a Hubbard U was carried out for ZnFePO5 after structural relaxation.

Lattice parameters (Å, degrees): 9.753 12.880 12.081 90.00 107.75 90.00
Element x y z (fractional)
Zn 0.040 0.180 0.412
Zn 0.040 0.320 0.912
Zn 0.200 0.011 0.697
Zn 0.200 0.489 0.197
Zn 0.296 0.240 0.806
Zn 0.296 0.260 0.306
Zn 0.455 0.570 0.095
Zn 0.455 0.930 0.595
Zn 0.545 0.070 0.405
Zn 0.545 0.430 0.905
Zn 0.704 0.740 0.694
Zn 0.704 0.760 0.194
Zn 0.800 0.511 0.803
Zn 0.800 0.989 0.303
Zn 0.960 0.680 0.088
Zn 0.960 0.820 0.588
Fe 0.020 0.678 0.379
Fe 0.020 0.822 0.879
Fe 0.221 0.007 0.200
Fe 0.221 0.493 0.700
Fe 0.283 0.740 0.302
Fe 0.283 0.760 0.802
Fe 0.478 0.070 0.113
Fe 0.478 0.430 0.613
Fe 0.522 0.570 0.387
Fe 0.522 0.930 0.887
Fe 0.717 0.240 0.198
Fe 0.717 0.260 0.698
Fe 0.779 0.507 0.300
Fe 0.779 0.993 0.800
Fe 0.980 0.178 0.121
Fe 0.980 0.322 0.621
P 0.115 0.077 0.927
P 0.115 0.423 0.427
P 0.121 0.574 0.923
P 0.121 0.926 0.423
P 0.380 0.174 0.575
P 0.380 0.326 0.075
P 0.381 0.678 0.578
P 0.381 0.822 0.078
P 0.619 0.178 0.922
P 0.619 0.322 0.422
P 0.620 0.674 0.925
P 0.620 0.826 0.425
P 0.879 0.074 0.577
P 0.879 0.426 0.077
P 0.885 0.577 0.573
P 0.885 0.923 0.073
O 0.011 0.516 0.381
O 0.011 0.984 0.881
O 0.016 0.020 0.384
O 0.016 0.480 0.884
O 0.024 0.163 0.962
O 0.024 0.337 0.462
O 0.024 0.668 0.932
O 0.024 0.832 0.432
O 0.084 0.708 0.246
O 0.084 0.792 0.746
O 0.173 0.152 0.218
O 0.173 0.348 0.718
O 0.174 0.113 0.828
O 0.174 0.387 0.328
O 0.201 0.592 0.830
O 0.201 0.908 0.330
O 0.235 0.554 0.042
O 0.235 0.946 0.542
O 0.241 0.042 0.034
O 0.241 0.458 0.534
O 0.256 0.204 0.465
O 0.256 0.296 0.965
O 0.262 0.708 0.464
O 0.262 0.792 0.964
O 0.306 0.656 0.672
O 0.306 0.844 0.172
O 0.319 0.141 0.674
O 0.319 0.359 0.174
O 0.328 0.593 0.291
O 0.328 0.907 0.791
O 0.420 0.041 0.248
O 0.420 0.459 0.748
O 0.471 0.085 0.546
O 0.471 0.415 0.046
O 0.472 0.584 0.556
O 0.472 0.916 0.056
O 0.483 0.231 0.116
O 0.483 0.269 0.616
O 0.489 0.731 0.121
O 0.489 0.769 0.621
O 0.511 0.231 0.379
O 0.511 0.269 0.879
O 0.517 0.731 0.384
O 0.517 0.769 0.884
O 0.528 0.084 0.944
O 0.528 0.416 0.444
O 0.529 0.585 0.954
O 0.529 0.915 0.454
O 0.580 0.541 0.252
O 0.580 0.959 0.752
O 0.672 0.093 0.209
O 0.672 0.407 0.709
O 0.681 0.641 0.826
O 0.681 0.859 0.326
O 0.694 0.156 0.828
O 0.694 0.344 0.328
O 0.738 0.208 0.036
O 0.738 0.292 0.536
O 0.744 0.704 0.035
O 0.744 0.796 0.535
O 0.759 0.542 0.466
O 0.759 0.958 0.966
O 0.765 0.054 0.458
O 0.765 0.446 0.958
O 0.799 0.092 0.670
O 0.799 0.408 0.170
O 0.826 0.613 0.672
O 0.826 0.887 0.172
O 0.827 0.652 0.282
O 0.827 0.848 0.782
O 0.916 0.208 0.254
O 0.916 0.292 0.754
O 0.976 0.168 0.568
O 0.976 0.332 0.068
O 0.976 0.663 0.538
O 0.976 0.837 0.038
O 0.984 0.520 0.116
O 0.984 0.980 0.616
O 0.989 0.016 0.119
O 0.989 0.484 0.619

Summary:
Calculated formation energy (meV/atom): -2183
Volume (A^3/atom): 11.29
Relative energy among the computed polymorphs (kJ/mol of atoms): 0.0
MP2020-corrected energy (eV per atom): -7.169
VASP energy (eV/cell): -826.5


Record 2
A plane-wave DFT calculation with PBE with a Hubbard U was carried out for ZnFe2P3O12 after structural relaxation.

Lattice parameters (Å, degrees): 4.894 5.956 29.862 90.00 90.01 90.00
Element x y z (fractional)
Zn 0.000 0.000 0.000
Zn 0.000 0.000 0.333
Zn 0.495 0.500 0.650
Zn 0.995 0.000 0.666
Fe 0.416 0.000 0.499
Fe 0.418 0.000 0.833
Fe 0.420 0.000 0.167
Fe 0.486 0.500 0.983
Fe 0.487 0.500 0.317
Fe 0.916 0.500 0.817
Fe 0.917 0.500 0.483
Fe 0.918 0.500 0.150
P 0.036 0.500 0.710
P 0.040 0.500 0.376
P 0.041 0.500 0.042
P 0.369 0.500 0.542
P 0.370 0.500 0.209
P 0.371 0.500 0.876
P 0.527 0.000 0.273
P 0.527 0.000 0.940
P 0.536 0.000 0.606
P 0.870 0.000 0.107
P 0.870 0.000 0.440
P 0.870 0.000 0.774
O 0.100 0.500 0.093
O 0.100 0.500 0.426
O 0.105 0.500 0.761
O 0.178 0.000 0.782
O 0.179 0.000 0.115
O 0.179 0.000 0.448
O 0.180 0.298 0.686
O 0.180 0.702 0.686
O 0.193 0.301 0.351
O 0.193 0.302 0.018
O 0.193 0.698 0.018
O 0.193 0.699 0.351
O 0.216 0.000 0.277
O 0.216 0.000 0.944
O 0.223 0.000 0.611
O 0.226 0.299 0.184
O 0.226 0.701 0.184
O 0.227 0.299 0.851
O 0.227 0.300 0.516
O 0.227 0.700 0.516
O 0.227 0.701 0.851
O 0.290 0.500 0.592
O 0.296 0.500 0.259
O 0.298 0.500 0.926
O 0.605 0.000 0.223
O 0.605 0.000 0.890
O 0.606 0.000 0.556
O 0.665 0.204 0.964
O 0.665 0.205 0.298
O 0.665 0.795 0.298
O 0.665 0.796 0.964
O 0.678 0.500 0.535
O 0.680 0.202 0.630
O 0.680 0.500 0.202
O 0.680 0.500 0.869
O 0.680 0.798 0.630
O 0.724 0.500 0.705
O 0.726 0.201 0.133
O 0.726 0.201 0.466
O 0.726 0.799 0.133
O 0.726 0.799 0.466
O 0.727 0.201 0.800
O 0.727 0.799 0.800
O 0.733 0.500 0.034
O 0.733 0.500 0.368
O 0.792 0.000 0.725
O 0.799 0.000 0.058
O 0.799 0.000 0.391

Summary:
Calculated formation energy (meV/atom): -2234
Volume (A^3/atom): 12.09
MP2020-corrected energy (eV per atom): -7.446
VASP energy (eV/cell): -485.1


Record 3
A plane-wave DFT calculation with PBE with a Hubbard U was carried out for ZnFe3P3O13 after structural relaxation.

Lattice parameters (Å, degrees): 7.673 6.354 10.091 90.00 100.56 90.00
Element x y z (fractional)
Zn 0.125 0.250 0.179
Zn 0.875 0.750 0.821
Fe 0.146 0.250 0.794
Fe 0.285 0.750 0.433
Fe 0.500 0.000 0.000
Fe 0.500 0.500 0.000
Fe 0.715 0.250 0.567
Fe 0.854 0.750 0.206
P 0.179 0.750 0.110
P 0.228 0.750 0.761
P 0.282 0.250 0.501
P 0.718 0.750 0.499
P 0.772 0.250 0.239
P 0.821 0.250 0.890
O 0.011 0.250 0.977
O 0.110 0.563 0.787
O 0.110 0.937 0.787
O 0.129 0.750 0.253
O 0.154 0.250 0.602
O 0.246 0.060 0.403
O 0.246 0.440 0.403
O 0.278 0.750 0.622
O 0.284 0.544 0.097
O 0.284 0.956 0.097
O 0.379 0.250 0.903
O 0.404 0.750 0.869
O 0.473 0.250 0.583
O 0.527 0.750 0.417
O 0.596 0.250 0.131
O 0.621 0.750 0.097
O 0.716 0.044 0.903
O 0.716 0.456 0.903
O 0.722 0.250 0.378
O 0.754 0.560 0.597
O 0.754 0.940 0.597
O 0.846 0.750 0.398
O 0.871 0.250 0.747
O 0.890 0.063 0.213
O 0.890 0.437 0.213
O 0.989 0.750 0.023

Summary:
Calculated formation energy (meV/atom): -2239
Volume (A^3/atom): 12.09
MP2020-corrected energy (eV per atom): -7.601
VASP energy (eV/cell): -272.6


Look up the calculated formation energy of the first one. -2183 meV/atom